Density functional theory data (PBE) for an optimized crystal structure of Sr2YAlSn2O7.

abc: 11.562 11.562 11.562
angles: 46.38 145.05 150.48
Atoms (fractional coordinates):
Sr 0.072 0.162 0.234
Sr 0.072 0.338 0.411
Sr 0.928 0.662 0.589
Sr 0.928 0.838 0.766
Y 0.052 0.052 0.000
Y 0.052 0.552 0.500
Al 0.377 0.734 0.143
Al 0.591 0.234 0.857
Sn 0.515 0.598 0.076
Sn 0.515 0.939 0.418
Sn 0.522 0.098 0.582
Sn 0.522 0.439 0.924
O 0.372 0.933 0.939
O 0.394 0.238 0.299
O 0.394 0.595 0.656
O 0.478 0.213 0.633
O 0.478 0.345 0.765
O 0.579 0.713 0.235
O 0.579 0.845 0.367
O 0.741 0.274 0.310
O 0.741 0.931 0.966
O 0.939 0.095 0.701
O 0.939 0.738 0.344
O 0.964 0.431 0.690
O 0.964 0.774 0.034
O 0.995 0.433 0.061

Output
- volume (Å³/cell) = 435
- total moment (μB/f.u.) = 0.000
- ρ (g/cm³) = 4.9
- crystal system = orthorhombic
- energy with MP2020 corrections (eV per atom) = -7.03
- energy of formation from the pure elements (eV/atom) = -2.706